Compound: MoRu3
Source: the Materials Project database
Functional: r²SCAN
Structure: relaxed

```
MoRu3
1.0
5.4642 0.0000 0.0000
-2.7321 4.7321 0.0000
0.0000 0.0000 4.3415
Mo Ru
2 6
Direct
0.3333 0.6667 0.2500
0.6667 0.3333 0.7500
0.1661 0.3322 0.7500
0.1661 0.8339 0.7500
0.3322 0.1661 0.2500
0.6678 0.8339 0.7500
0.8339 0.1661 0.2500
0.8339 0.6678 0.2500
```

E: -205.1 eV for the cell shown
volume: 14.0 Å³/atom
size of the total moment: 0.0 μB per cell
formation energy from the elements: -52 meV/atom